[1]
The following is a PBE calculation of a relaxed structure of CeZn2Ga2, from the Materials Project.

Properties
E_form: -0.41 eV/atom
V: 97 Å³ per cell

```
5
Lattice="-2.146 2.146 5.240 2.146 -2.146 5.240 2.146 2.146 -5.240" Properties=species:S:1:pos:R:3 pbc="T T T"
Ce 0.000 0.000 0.000
Zn 0.000 0.000 4.039
Zn 0.000 0.000 6.442
Ga 2.146 0.000 2.620
Ga 0.000 2.146 2.620
```

[2]
The following is a PBE calculation of a relaxed structure of Rb2Sb2SO5F6, from the Materials Project.

Properties
E_form: -2.22 eV/atom
V: 1150 Å³ per cell

```
64
Lattice="8.904 0.000 0.000 0.000 8.904 0.000 0.000 0.000 14.506" Properties=species:S:1:pos:R:3 pbc="T T T"
Rb 1.407 2.840 5.393
Rb 1.612 5.859 9.020
Rb 2.840 1.407 9.113
Rb 3.045 7.292 12.740
Rb 5.859 1.612 5.487
Rb 6.064 7.497 1.860
Rb 7.292 3.045 1.767
Rb 7.497 6.064 12.646
Sb 1.161 5.986 1.838
Sb 1.534 3.291 12.718
Sb 2.918 7.743 5.415
Sb 3.291 1.534 1.789
Sb 5.613 7.370 9.042
Sb 5.986 1.161 12.668
Sb 7.370 5.613 5.465
Sb 7.743 2.918 9.091
S 0.358 0.358 0.000
S 4.094 4.811 3.627
S 4.811 4.094 10.880
S 8.546 8.546 7.253
O 0.625 7.799 0.033
O 0.647 8.257 10.880
O 0.911 1.055 1.222
O 1.055 0.911 13.285
O 1.105 8.279 7.221
O 3.347 3.827 10.912
O 3.397 5.364 4.848
O 3.541 5.507 2.405
O 3.805 3.805 7.253
O 3.827 3.347 3.594
O 5.077 5.557 10.847
O 5.100 5.100 0.000
O 5.364 3.397 9.658
O 5.507 3.541 12.101
O 5.557 5.077 3.659
O 7.799 0.625 14.474
O 7.849 7.993 6.032
O 7.993 7.849 8.475
O 8.257 0.647 3.627
O 8.279 1.105 7.286
F 0.321 5.442 6.167
F 0.667 3.294 8.328
F 0.799 2.541 11.041
F 0.990 4.131 2.540
F 1.158 5.119 11.955
F 1.911 5.251 0.161
F 2.541 0.799 3.465
F 3.294 0.667 6.178
F 3.462 8.583 1.087
F 3.653 6.993 7.092
F 3.785 7.746 9.805
F 4.131 0.990 11.966
F 4.773 7.914 4.713
F 5.119 1.158 2.552
F 5.251 1.911 14.345
F 5.442 0.321 8.340
F 5.611 8.237 13.431
F 6.363 8.105 10.718
F 6.993 3.653 7.414
F 7.746 3.785 4.702
F 7.914 4.773 9.793
F 8.105 6.363 3.788
F 8.237 5.611 1.075
F 8.583 3.462 13.420
```

[3]
The following is a PBE calculation of a relaxed structure of Li8BiO6, from the Materials Project.

Properties
E_form: -1.93 eV/atom
V: 325 Å³ per cell

```
30
Lattice="5.839 0.000 0.000 -2.919 5.057 0.000 0.000 0.000 11.017" Properties=species:S:1:pos:R:3 pbc="T T T"
Li -0.946 1.638 0.000
Li -1.202 2.082 3.967
Li -1.717 2.974 9.476
Li -1.974 3.419 5.509
Li 1.891 0.000 0.000
Li 0.946 1.638 5.509
Li 0.000 3.371 1.495
Li 0.000 3.371 7.004
Li 2.404 0.000 3.967
Li 1.202 2.082 9.476
Li 3.434 0.000 9.476
Li 1.717 2.974 3.967
Li 2.919 1.686 1.495
Li 2.919 1.686 7.004
Li 3.948 0.000 5.509
Li 1.974 3.419 0.000
Bi 0.000 0.000 2.444
Bi 0.000 0.000 7.952
O 0.000 0.000 4.611
O 0.000 0.000 10.120
O -1.044 1.808 2.002
O -1.876 3.249 7.510
O 0.000 3.371 4.914
O 0.000 3.371 10.423
O 2.087 0.000 2.002
O 1.044 1.808 7.510
O 3.751 0.000 7.510
O 1.876 3.249 2.002
O 2.919 1.686 4.914
O 2.919 1.686 10.423
```

[4]
The following is a PBE calculation of a relaxed structure of K2Ga2As3, from the Materials Project.

Properties
E_form: -0.47 eV/atom
V: 1530 Å³ per cell

```
56
Lattice="14.007 0.000 0.000 0.000 6.862 0.000 -0.076 0.000 15.921" Properties=species:S:1:pos:R:3 pbc="T T T"
K 0.798 0.464 1.620
K 0.760 2.967 9.580
K 2.146 3.799 0.291
K 2.108 6.495 8.252
K 4.980 0.219 0.068
K 4.942 3.212 8.029
K 5.892 3.665 1.724
K 5.854 6.629 9.684
K 8.077 0.234 6.237
K 8.039 3.197 14.197
K 8.989 3.650 7.892
K 8.951 6.644 15.853
K 11.823 0.368 7.669
K 11.785 3.063 15.630
K 13.171 3.896 6.341
K 13.133 6.398 14.301
Ga 1.271 5.129 4.122
Ga 1.233 5.165 12.082
Ga 2.574 1.550 5.172
Ga 2.536 1.882 13.133
Ga 4.406 5.081 5.075
Ga 4.368 5.213 13.036
Ga 5.707 1.450 4.279
Ga 5.669 1.981 12.240
Ga 8.262 4.881 3.681
Ga 8.224 5.413 11.642
Ga 9.563 1.650 2.885
Ga 9.525 1.782 10.846
Ga 11.395 4.981 2.788
Ga 11.357 5.313 10.749
Ga 12.698 1.698 3.839
Ga 12.660 1.733 11.799
As 0.344 0.343 5.293
As 0.306 3.089 13.254
As 2.371 3.871 6.048
As 2.333 6.422 14.009
As 3.394 4.546 10.774
As 3.432 5.747 2.813
As 3.580 1.385 2.872
As 3.542 2.046 10.833
As 4.656 0.368 6.315
As 4.618 3.064 14.275
As 6.529 3.705 5.119
As 6.491 6.589 13.080
As 7.440 0.273 2.841
As 7.402 3.158 10.802
As 9.313 3.799 1.646
As 9.275 6.495 9.606
As 10.389 4.817 5.088
As 10.351 5.477 13.049
As 10.499 1.115 13.108
As 10.537 2.316 5.147
As 11.598 0.440 1.912
As 11.560 2.991 9.873
As 13.625 3.774 2.667
As 13.587 6.520 10.628
```

[5]
The following is a PBE calculation of a relaxed structure of Ca3Ge3Rh2O12, from the Materials Project.

Properties
E_form: -2.34 eV/atom
V: 980 Å³ per cell

```
80
Lattice="-6.258 6.258 6.258 6.258 -6.258 6.258 6.258 6.258 -6.258" Properties=species:S:1:pos:R:3 pbc="T T T"
Ca 3.129 1.565 0.000
Ca 6.258 3.129 -1.565
Ca 1.565 0.000 3.129
Ca 7.823 0.000 3.129
Ca 0.000 3.129 1.565
Ca 3.129 -1.565 6.258
Ca 3.129 7.823 0.000
Ca 6.258 3.129 4.694
Ca -1.565 6.258 3.129
Ca 4.694 6.258 3.129
Ca 0.000 3.129 7.823
Ca 3.129 4.694 6.258
Ge 9.387 1.565 0.000
Ge 6.258 -3.129 4.694
Ge 4.694 6.258 -3.129
Ge 4.694 0.000 3.129
Ge 3.129 4.694 0.000
Ge 6.258 3.129 1.565
Ge 0.000 3.129 4.694
Ge 3.129 1.565 6.258
Ge 1.565 6.258 3.129
Ge 1.565 0.000 9.387
Ge 0.000 9.387 1.565
Ge -3.129 4.694 6.258
Rh 0.000 0.000 0.000
Rh 3.129 3.129 -3.129
Rh 3.129 -3.129 3.129
Rh 6.258 0.000 0.000
Rh -3.129 3.129 3.129
Rh 0.000 6.258 0.000
Rh 0.000 0.000 6.258
Rh 3.129 3.129 3.129
O 1.925 -0.415 0.662
O 7.462 3.791 -3.544
O 8.183 0.415 0.662
O 7.462 -2.467 3.544
O 5.843 -0.662 1.925
O 9.802 -1.204 2.467
O 0.662 1.925 -0.415
O 8.726 2.714 -1.204
O 3.791 3.544 -1.204
O 5.596 1.925 0.415
O -0.415 0.662 1.925
O 3.544 -1.204 3.791
O 5.843 5.596 -1.925
O 3.544 1.204 2.467
O 3.791 -3.544 7.462
O 5.596 -1.925 5.843
O 2.467 3.544 1.204
O 6.920 4.333 0.415
O 3.544 7.462 -2.467
O 5.843 0.662 4.333
O 1.925 5.843 -0.662
O 7.462 2.467 2.714
O 1.204 2.467 3.544
O 1.925 0.415 5.596
O 4.333 5.843 0.662
O 5.054 3.791 2.714
O -1.204 3.791 3.544
O 4.333 0.415 6.920
O 0.415 5.596 1.925
O 2.714 -1.204 8.726
O -0.662 1.925 5.843
O 3.791 2.714 5.054
O 0.662 8.183 0.415
O 2.467 9.802 -1.204
O 2.714 5.054 3.791
O 0.415 0.662 8.183
O 2.714 7.462 2.467
O 6.673 5.596 4.333
O 0.662 4.333 5.843
O 2.467 2.714 7.462
O -2.467 3.544 7.462
O 5.596 4.333 6.673
O -3.544 7.462 3.791
O 0.415 6.920 4.333
O -1.204 8.726 2.714
O -1.925 5.843 5.596
O -1.204 2.467 9.802
O 4.333 6.673 5.596
```

[6]
The following is a PBE calculation of a relaxed structure of NaPO4, from the Materials Project.

Properties
E_form: -1.98 eV/atom
V: 704 Å³ per cell

```
48
Lattice="7.063 0.000 0.000 0.000 13.783 0.000 -0.280 0.000 7.231" Properties=species:S:1:pos:R:3 pbc="T T T"
Na 0.855 1.445 3.584
Na 0.715 5.447 7.199
Na 2.258 8.272 2.164
Na 2.118 12.403 5.780
Na 4.665 1.380 1.451
Na 4.525 5.512 5.067
Na 6.068 8.337 0.032
Na 5.928 12.338 3.647
P 0.986 1.786 7.121
P 1.126 5.106 3.505
P 2.192 8.637 6.202
P 2.332 12.038 2.586
P 4.451 1.745 4.645
P 4.591 5.146 1.029
P 5.656 8.678 3.726
P 5.796 11.997 0.110
O 0.454 1.373 1.139
O 0.314 5.518 4.755
O 0.339 3.138 6.733
O 0.479 3.754 3.117
O 0.939 0.770 5.980
O 1.079 6.122 2.365
O 1.092 7.907 6.993
O 1.232 12.768 3.378
O 1.740 9.986 5.624
O 1.880 10.689 2.009
O 2.737 2.026 0.277
O 2.597 4.866 3.892
O 2.596 7.636 5.077
O 2.736 13.039 1.462
O 3.236 2.018 3.739
O 3.376 4.873 0.124
O 3.407 8.910 7.107
O 3.547 11.765 3.492
O 4.047 0.744 5.769
O 4.187 6.148 2.154
O 4.186 8.918 3.339
O 4.046 11.757 6.954
O 4.903 3.094 5.222
O 5.043 3.798 1.607
O 5.551 1.015 3.853
O 5.691 5.877 0.238
O 5.703 7.661 4.866
O 5.843 13.014 1.251
O 6.304 10.029 4.114
O 6.444 10.646 0.498
O 6.469 8.265 2.476
O 6.329 12.410 6.092
```